ErCdIn | GGA-PBE | optimized geometry

abc: 4.873 4.873 7.327
angles: 90.00 90.00 120.00
Positions (direct):
Er 0.000 0.000 0.239
Er 0.000 0.000 0.761
Cd 0.333 0.667 0.968
Cd 0.667 0.333 0.032
In 0.333 0.667 0.547
In 0.667 0.333 0.453

Results
crystal system: trigonal
space-group type: P-3m1, No. 164


Er2CdIn | GGA-PBE | optimized geometry

abc: 5.266 5.266 5.266
angles: 60.00 60.00 60.00
Positions (direct):
Er 0.250 0.250 0.250
Er 0.750 0.750 0.750
Cd 0.000 0.000 0.000
In 0.500 0.500 0.500

Results
crystal system: cubic
space-group type: Fm-3m, No. 225


Er4CdIr | GGA-PBE | optimized geometry

abc: 9.555 9.555 9.555
angles: 60.00 60.00 60.00
Positions (direct):
Er 0.187 0.187 0.813
Er 0.187 0.813 0.187
Er 0.187 0.813 0.813
Er 0.401 0.401 0.401
Er 0.401 0.401 0.797
Er 0.401 0.797 0.401
Er 0.561 0.561 0.939
Er 0.561 0.939 0.561
Er 0.561 0.939 0.939
Er 0.797 0.401 0.401
Er 0.813 0.187 0.187
Er 0.813 0.187 0.813
Er 0.813 0.813 0.187
Er 0.939 0.561 0.561
Er 0.939 0.561 0.939
Er 0.939 0.939 0.561
Cd 0.169 0.169 0.169
Cd 0.169 0.169 0.494
Cd 0.169 0.494 0.169
Cd 0.494 0.169 0.169
Ir 0.176 0.608 0.608
Ir 0.608 0.176 0.608
Ir 0.608 0.608 0.176
Ir 0.608 0.608 0.608

Results
crystal system: cubic
space-group type: F-43m, No. 216


ErMgCd2 | GGA-PBE | optimized geometry

abc: 5.082 5.082 5.082
angles: 60.00 60.00 60.00
Positions (direct):
Er 0.000 0.000 0.000
Mg 0.500 0.500 0.500
Cd 0.250 0.250 0.250
Cd 0.750 0.750 0.750

Results
crystal system: cubic
space-group type: Fm-3m, No. 225


Er4CdNi | GGA-PBE | optimized geometry

abc: 9.483 9.483 9.483
angles: 60.00 60.00 60.00
Positions (direct):
Er 0.187 0.187 0.813
Er 0.187 0.813 0.187
Er 0.187 0.813 0.813
Er 0.401 0.401 0.401
Er 0.401 0.401 0.798
Er 0.401 0.798 0.401
Er 0.560 0.560 0.940
Er 0.560 0.940 0.560
Er 0.560 0.940 0.940
Er 0.798 0.401 0.401
Er 0.813 0.187 0.187
Er 0.813 0.187 0.813
Er 0.813 0.813 0.187
Er 0.940 0.560 0.560
Er 0.940 0.560 0.940
Er 0.940 0.940 0.560
Cd 0.168 0.168 0.168
Cd 0.168 0.168 0.495
Cd 0.168 0.495 0.168
Cd 0.495 0.168 0.168
Ni 0.177 0.608 0.608
Ni 0.608 0.177 0.608
Ni 0.608 0.608 0.177
Ni 0.608 0.608 0.608

Results
crystal system: cubic
space-group type: F-43m, No. 216


ErCdNi4 | GGA-PBE | optimized geometry

abc: 4.953 4.953 4.953
angles: 60.00 60.00 60.00
Positions (direct):
Er 0.000 0.000 0.000
Cd 0.750 0.750 0.750
Ni 0.376 0.376 0.376
Ni 0.376 0.376 0.872
Ni 0.376 0.872 0.376
Ni 0.872 0.376 0.376

Results
crystal system: cubic
space-group type: F-43m, No. 216


Er2CdOs | GGA-PBE | optimized geometry

abc: 4.973 4.973 4.973
angles: 60.00 60.00 60.00
Positions (direct):
Er 0.250 0.250 0.250
Er 0.750 0.750 0.750
Cd 0.000 0.000 0.000
Os 0.500 0.500 0.500

Results
crystal system: cubic
space-group type: Fm-3m, No. 225


Er2CdPd2 | GGA-PBE | optimized geometry

abc: 7.679 7.679 3.704
angles: 90.00 90.00 90.00
Positions (direct):
Er 0.175 0.325 0.000
Er 0.325 0.825 0.000
Er 0.675 0.175 0.000
Er 0.825 0.675 0.000
Cd 0.000 0.000 0.500
Cd 0.500 0.500 0.500
Pd 0.127 0.627 0.500
Pd 0.373 0.127 0.500
Pd 0.627 0.873 0.500
Pd 0.873 0.373 0.500

Results
crystal system: tetragonal
space-group type: P4/mbm, No. 127


Er4CdPt | GGA-PBE | optimized geometry

abc: 9.618 9.618 9.618
angles: 60.00 60.00 60.00
Positions (direct):
Er 0.185 0.185 0.815
Er 0.185 0.815 0.185
Er 0.185 0.815 0.815
Er 0.398 0.398 0.398
Er 0.398 0.398 0.805
Er 0.398 0.805 0.398
Er 0.561 0.561 0.939
Er 0.561 0.939 0.561
Er 0.561 0.939 0.939
Er 0.805 0.398 0.398
Er 0.815 0.185 0.185
Er 0.815 0.185 0.815
Er 0.815 0.815 0.185
Er 0.939 0.561 0.561
Er 0.939 0.561 0.939
Er 0.939 0.939 0.561
Cd 0.168 0.168 0.168
Cd 0.168 0.168 0.496
Cd 0.168 0.496 0.168
Cd 0.496 0.168 0.168
Pt 0.179 0.607 0.607
Pt 0.607 0.179 0.607
Pt 0.607 0.607 0.179
Pt 0.607 0.607 0.607

Results
crystal system: cubic
space-group type: F-43m, No. 216


Er2CdS4 | GGA-PBE | optimized geometry

abc: 32.683 32.683 32.683
angles: 13.99 13.99 13.99
Positions (direct):
Er 0.000 0.000 0.000
Er 0.075 0.075 0.075
Er 0.075 0.075 0.576
Er 0.075 0.576 0.075
Er 0.175 0.675 0.675
Er 0.275 0.275 0.775
Er 0.275 0.775 0.275
Er 0.379 0.873 0.873
Er 0.473 0.473 0.981
Er 0.473 0.981 0.473
Er 0.475 0.475 0.475
Er 0.576 0.075 0.075
Er 0.600 0.600 0.600
Er 0.675 0.175 0.675
Er 0.675 0.675 0.175
Er 0.775 0.275 0.275
Er 0.873 0.379 0.873
Er 0.873 0.873 0.379
Er 0.875 0.875 0.875
Er 0.981 0.473 0.473
Cd 0.150 0.150 0.150
Cd 0.200 0.200 0.200
Cd 0.276 0.276 0.276
Cd 0.351 0.351 0.351
Cd 0.400 0.400 0.400
Cd 0.550 0.550 0.550
Cd 0.676 0.676 0.676
Cd 0.751 0.751 0.751
Cd 0.800 0.800 0.800
Cd 0.951 0.951 0.951
S 0.007 0.535 0.535
S 0.014 0.014 0.546
S 0.014 0.546 0.014
S 0.027 0.027 0.027
S 0.124 0.124 0.124
S 0.135 0.135 0.608
S 0.135 0.608 0.135
S 0.146 0.614 0.614
S 0.205 0.737 0.737
S 0.214 0.214 0.747
S 0.214 0.747 0.214
S 0.227 0.227 0.227
S 0.324 0.324 0.324
S 0.337 0.337 0.805
S 0.337 0.805 0.337
S 0.345 0.814 0.814
S 0.405 0.937 0.937
S 0.415 0.415 0.944
S 0.415 0.944 0.415
S 0.427 0.427 0.427
S 0.524 0.524 0.524
S 0.535 0.007 0.535
S 0.535 0.535 0.007
S 0.546 0.014 0.014
S 0.608 0.135 0.135
S 0.614 0.146 0.614
S 0.614 0.614 0.146
S 0.627 0.627 0.627
S 0.724 0.724 0.724
S 0.737 0.205 0.737
S 0.737 0.737 0.205
S 0.747 0.214 0.214
S 0.805 0.337 0.337
S 0.814 0.345 0.814
S 0.814 0.814 0.345
S 0.827 0.827 0.827
S 0.924 0.924 0.924
S 0.937 0.405 0.937
S 0.937 0.937 0.405
S 0.944 0.415 0.415

Results
spin magnetization: 0.000 μB/atom
crystal system: trigonal
space-group type: R3m, No. 160


Er4CdS7 | GGA-PBE | optimized geometry

abc: 6.598 6.598 11.531
angles: 104.25 104.25 33.51
Positions (direct):
Er 0.000 0.000 0.000
Er 0.386 0.386 0.606
Er 0.578 0.578 0.373
Er 0.693 0.693 0.803
Cd 0.808 0.808 0.223
S 0.033 0.033 0.750
S 0.192 0.192 0.304
S 0.353 0.353 0.851
S 0.437 0.437 0.154
S 0.654 0.654 0.018
S 0.732 0.732 0.587
S 0.952 0.952 0.449

Results
spin magnetization: 0.000 μB/atom
crystal system: monoclinic
space-group type: Cm, No. 8


Er2CdS4 | GGA-PBE | optimized geometry

abc: 7.939 7.939 7.939
angles: 60.00 60.00 60.00
Positions (direct):
Er 0.000 0.000 0.000
Er 0.000 0.000 0.500
Er 0.000 0.500 0.000
Er 0.500 0.000 0.000
Cd 0.375 0.375 0.375
Cd 0.625 0.625 0.625
S 0.226 0.758 0.758
S 0.242 0.242 0.242
S 0.242 0.242 0.774
S 0.242 0.774 0.242
S 0.758 0.226 0.758
S 0.758 0.758 0.226
S 0.758 0.758 0.758
S 0.774 0.242 0.242

Results
crystal system: cubic
space-group type: Fd-3m, No. 227


ErTmCd2 | GGA-PBE | optimized geometry

abc: 5.250 5.250 5.250
angles: 60.00 60.00 60.00
Positions (direct):
Er 0.000 0.000 0.000
Tm 0.500 0.500 0.500
Cd 0.250 0.250 0.250
Cd 0.750 0.750 0.750

Results
crystal system: cubic
space-group type: Fm-3m, No. 225


EuCd2 | GGA-PBE | optimized geometry

abc: 6.328 6.328 6.328
angles: 132.39 102.72 96.06
Positions (direct):
Eu 0.299 0.049 0.250
Eu 0.701 0.951 0.750
Cd 0.109 0.665 0.444
Cd 0.279 0.335 0.944
Cd 0.721 0.665 0.056
Cd 0.891 0.335 0.556

Results
crystal system: orthorhombic
space-group type: Imma, No. 74


EuCd | GGA-PBE | optimized geometry

abc: 3.984 3.984 3.984
angles: 90.00 90.00 90.00
Positions (direct):
Eu 0.000 0.000 0.000
Cd 0.500 0.500 0.500

Results
crystal system: cubic
space-group type: Pm-3m, No. 221


EuCd11 | GGA-PBE | optimized geometry

abc: 9.437 9.437 9.437
angles: 99.89 99.89 131.04
Positions (direct):
Eu 0.375 0.625 0.750
Eu 0.625 0.375 0.250
Cd 0.000 0.000 0.000
Cd 0.000 0.000 0.500
Cd 0.000 0.500 0.000
Cd 0.125 0.875 0.250
Cd 0.129 0.554 0.335
Cd 0.129 0.794 0.575
Cd 0.206 0.280 0.335
Cd 0.206 0.871 0.925
Cd 0.280 0.206 0.835
Cd 0.280 0.446 0.075
Cd 0.446 0.280 0.575
Cd 0.446 0.871 0.165
Cd 0.500 0.000 0.500
Cd 0.554 0.129 0.835
Cd 0.554 0.720 0.425
Cd 0.720 0.554 0.925
Cd 0.720 0.794 0.165
Cd 0.794 0.129 0.075
Cd 0.794 0.720 0.665
Cd 0.871 0.206 0.425
Cd 0.871 0.446 0.665
Cd 0.875 0.125 0.750

Results
crystal system: tetragonal
space-group type: I4_1/amd, No. 141


EuCdGe | GGA-PBE | optimized geometry

abc: 7.597 4.580 8.620
angles: 90.00 90.00 90.00
Positions (direct):
Eu 0.019 0.250 0.189
Eu 0.481 0.750 0.689
Eu 0.519 0.250 0.311
Eu 0.981 0.750 0.811
Cd 0.149 0.250 0.569
Cd 0.351 0.750 0.069
Cd 0.649 0.250 0.931
Cd 0.851 0.750 0.431
Ge 0.237 0.750 0.392
Ge 0.263 0.250 0.892
Ge 0.737 0.750 0.108
Ge 0.763 0.250 0.608

Results
crystal system: orthorhombic
space-group type: Pnma, No. 62


EuCdHg2 | GGA-PBE | optimized geometry

abc: 5.287 5.287 5.287
angles: 60.00 60.00 60.00
Positions (direct):
Eu 0.000 0.000 0.000
Cd 0.500 0.500 0.500
Hg 0.250 0.250 0.250
Hg 0.750 0.750 0.750

Results
crystal system: cubic
space-group type: Fm-3m, No. 225


no.,energy of formation from the pure elements (kJ per mole of atoms),final energy (eV per atom)
1,-33,-3.09
2,-38,-3.59
3,-52,-5.21
4,-28,-2.29
5,-30,-4.47
6,-35,-5.14
7,-24,-5.57
8,-79,-4.90
9,-60,-4.83
10,-185,-5.43
11,-200,-5.79
12,-189,-5.47
13,-30,-3.03
14,-33,-4.38
15,-34,-5.94
16,-11,-1.82
17,-50,-5.79
18,-39,-3.35